# 1
Material: K3YV2O8
Method: DFT, PBE with a Hubbard U
State: relaxed

abc: 6.0214 6.0214 7.8169
angles: 90.00 90.00 120.00
Positions (direct):
K (0.0000, 0.0000, 0.0000)
K (0.3333, 0.6667, 0.7067)
K (0.6667, 0.3333, 0.2933)
Y (0.0000, 0.0000, 0.5000)
V (0.3333, 0.6667, 0.2515)
V (0.6667, 0.3333, 0.7485)
O (0.1741, 0.3482, 0.3281)
O (0.1741, 0.8259, 0.3281)
O (0.3333, 0.6667, 0.0363)
O (0.3482, 0.1741, 0.6719)
O (0.6518, 0.8259, 0.3281)
O (0.6667, 0.3333, 0.9637)
O (0.8259, 0.1741, 0.6719)
O (0.8259, 0.6518, 0.6719)

- energy with MP2020 corrections (eV/atom) = -7.55
- formation energy from the elements (kJ per mole of atoms) = -262.48

=====

# 2
Material: K2V4Zn5O20
Method: DFT, PBE with a Hubbard U
State: relaxed

abc: 10.1989 14.6705 6.0583
angles: 90.00 90.00 90.00
Positions (direct):
K (0.1714, 0.2497, 0.0000)
K (0.3286, 0.7497, 0.5000)
K (0.6714, 0.2503, 0.5000)
K (0.8286, 0.7503, 0.0000)
V (0.0014, 0.1317, 0.5000)
V (0.0017, 0.6234, 0.5000)
V (0.4983, 0.1234, 0.0000)
V (0.4986, 0.6317, 0.0000)
V (0.5014, 0.3683, 0.0000)
V (0.5017, 0.8766, 0.0000)
V (0.9983, 0.3766, 0.5000)
V (0.9986, 0.8683, 0.5000)
Zn (0.0000, 0.5000, 0.0000)
Zn (0.2351, 0.0044, 0.2520)
Zn (0.2351, 0.0044, 0.7480)
Zn (0.2649, 0.5044, 0.2480)
Zn (0.2649, 0.5044, 0.7520)
Zn (0.5000, 0.0000, 0.5000)
Zn (0.7351, 0.4956, 0.2480)
Zn (0.7351, 0.4956, 0.7520)
Zn (0.7649, 0.9956, 0.2520)
Zn (0.7649, 0.9956, 0.7480)
O (0.0163, 0.7453, 0.5000)
O (0.0813, 0.4113, 0.2649)
O (0.0813, 0.4113, 0.7351)
O (0.0861, 0.0999, 0.2702)
O (0.0861, 0.0999, 0.7298)
O (0.1568, 0.9177, 0.5000)
O (0.1609, 0.5813, 0.5000)
O (0.1680, 0.5597, 0.0000)
O (0.1736, 0.9320, 0.0000)
O (0.1824, 0.7418, 0.0000)
O (0.3176, 0.2418, 0.5000)
O (0.3264, 0.4320, 0.5000)
O (0.3320, 0.0597, 0.5000)
O (0.3391, 0.0813, 0.0000)
O (0.3432, 0.4177, 0.0000)
O (0.4139, 0.5999, 0.2298)
O (0.4139, 0.5999, 0.7702)
O (0.4187, 0.9113, 0.2351)
O (0.4187, 0.9113, 0.7649)
O (0.4837, 0.2453, 0.0000)
O (0.5163, 0.7547, 0.0000)
O (0.5813, 0.0887, 0.2351)
O (0.5813, 0.0887, 0.7649)
O (0.5861, 0.4001, 0.2298)
O (0.5861, 0.4001, 0.7702)
O (0.6568, 0.5823, 0.0000)
O (0.6609, 0.9187, 0.0000)
O (0.6680, 0.9403, 0.5000)
O (0.6736, 0.5680, 0.5000)
O (0.6824, 0.7582, 0.5000)
O (0.8176, 0.2582, 0.0000)
O (0.8264, 0.0680, 0.0000)
O (0.8320, 0.4403, 0.0000)
O (0.8391, 0.4187, 0.5000)
O (0.8432, 0.0823, 0.5000)
O (0.9139, 0.9001, 0.2702)
O (0.9139, 0.9001, 0.7298)
O (0.9187, 0.5887, 0.2649)
O (0.9187, 0.5887, 0.7351)
O (0.9837, 0.2547, 0.5000)

- energy with MP2020 corrections (eV/atom) = -6.30
- formation energy from the elements (kJ per mole of atoms) = -160.18

=====

# 3
Material: KV5ZnO22
Method: DFT, PBE with a Hubbard U
State: relaxed

abc: 8.7265 10.7011 11.2881
angles: 68.84 83.22 76.56
Positions (direct):
K (0.2340, 0.0653, 0.2394)
K (0.7660, 0.9347, 0.7606)
V (0.1051, 0.2042, 0.5604)
V (0.1293, 0.4454, 0.2691)
V (0.1402, 0.2804, 0.8050)
V (0.1786, 0.4915, 0.5179)
V (0.1962, 0.7346, 0.2654)
V (0.8038, 0.2654, 0.7346)
V (0.8214, 0.5085, 0.4821)
V (0.8598, 0.7196, 0.1950)
V (0.8707, 0.5546, 0.7309)
V (0.8949, 0.7958, 0.4396)
Zn (0.3155, 0.5731, 0.7083)
Zn (0.6845, 0.4269, 0.2917)
O (0.0135, 0.5887, 0.3932)
O (0.0309, 0.4483, 0.8280)
O (0.0393, 0.6536, 0.5962)
O (0.0391, 0.7894, 0.1517)
O (0.0767, 0.8416, 0.3567)
O (0.0827, 0.8309, 0.8791)
O (0.0932, 0.7065, 0.9090)
O (0.1383, 0.7142, 0.6434)
O (0.1836, 0.0866, 0.4988)
O (0.2098, 0.3265, 0.2092)
O (0.2111, 0.1753, 0.6971)
O (0.2234, 0.3566, 0.4498)
O (0.2473, 0.2070, 0.9290)
O (0.2586, 0.5673, 0.2232)
O (0.2659, 0.4167, 0.6707)
O (0.2932, 0.6075, 0.4338)
O (0.3305, 0.8226, 0.1957)
O (0.4365, 0.7282, 0.9089)
O (0.4494, 0.8452, 0.8936)
O (0.4495, 0.8313, 0.5803)
O (0.4756, 0.8701, 0.4643)
O (0.4854, 0.4747, 0.8097)
O (0.5146, 0.5253, 0.1903)
O (0.5244, 0.1299, 0.5357)
O (0.5505, 0.1687, 0.4197)
O (0.5506, 0.1548, 0.1064)
O (0.5635, 0.2718, 0.0911)
O (0.6695, 0.1774, 0.8043)
O (0.7068, 0.3925, 0.5662)
O (0.7341, 0.5833, 0.3293)
O (0.7414, 0.4327, 0.7768)
O (0.7527, 0.7930, 0.0710)
O (0.7766, 0.6434, 0.5502)
O (0.7889, 0.8247, 0.3029)
O (0.7902, 0.6735, 0.7908)
O (0.8164, 0.9134, 0.5012)
O (0.8617, 0.2858, 0.3566)
O (0.9068, 0.2935, 0.0910)
O (0.9173, 0.1691, 0.1209)
O (0.9233, 0.1584, 0.6433)
O (0.9609, 0.2106, 0.8483)
O (0.9607, 0.3464, 0.4038)
O (0.9691, 0.5517, 0.1720)
O (0.9865, 0.4113, 0.6068)

- energy with MP2020 corrections (eV/atom) = -6.67
- formation energy from the elements (kJ per mole of atoms) = -122.70

=====

# 4
Material: K4WO5
Method: DFT, PBE with a Hubbard U
State: relaxed

abc: 6.3910 10.3934 17.2294
angles: 94.21 92.58 96.28
Positions (direct):
K (0.0109, 0.0117, 0.1797)
K (0.0595, 0.5796, 0.4152)
K (0.0731, 0.3519, 0.2188)
K (0.0755, 0.1946, 0.0057)
K (0.2321, 0.5401, 0.0580)
K (0.2443, 0.9530, 0.4302)
K (0.2653, 0.4043, 0.8512)
K (0.2808, 0.1146, 0.6546)
K (0.4315, 0.9126, 0.0949)
K (0.4487, 0.4994, 0.6801)
K (0.4496, 0.1610, 0.2889)
K (0.4578, 0.2964, 0.4937)
K (0.5422, 0.7036, 0.5063)
K (0.5504, 0.8390, 0.7111)
K (0.5513, 0.5006, 0.3199)
K (0.5685, 0.0874, 0.9051)
K (0.7192, 0.8854, 0.3454)
K (0.7347, 0.5957, 0.1488)
K (0.7557, 0.0470, 0.5698)
K (0.7679, 0.4599, 0.9420)
K (0.9245, 0.8054, 0.9943)
K (0.9269, 0.6481, 0.7812)
K (0.9405, 0.4204, 0.5848)
K (0.9891, 0.9883, 0.8203)
W (0.0632, 0.7740, 0.5926)
W (0.2182, 0.7339, 0.2489)
W (0.3997, 0.7431, 0.9030)
W (0.6003, 0.2569, 0.0970)
W (0.7818, 0.2661, 0.7511)
W (0.9368, 0.2260, 0.4074)
O (0.0394, 0.8817, 0.6841)
O (0.0493, 0.3078, 0.7125)
O (0.0725, 0.1827, 0.4987)
O (0.0882, 0.7616, 0.1468)
O (0.1414, 0.6340, 0.9242)
O (0.1834, 0.3378, 0.3795)
O (0.2126, 0.6265, 0.5814)
O (0.2717, 0.8956, 0.9261)
O (0.3238, 0.8822, 0.5733)
O (0.3413, 0.1585, 0.1245)
O (0.3427, 0.5930, 0.2053)
O (0.3549, 0.9054, 0.2525)
O (0.3591, 0.7180, 0.3506)
O (0.3721, 0.6603, 0.8015)
O (0.4578, 0.3191, 0.0113)
O (0.5422, 0.6809, 0.9887)
O (0.6279, 0.3397, 0.1985)
O (0.6409, 0.2820, 0.6494)
O (0.6451, 0.0946, 0.7475)
O (0.6573, 0.4070, 0.7947)
O (0.6587, 0.8415, 0.8755)
O (0.6762, 0.1178, 0.4267)
O (0.7283, 0.1044, 0.0739)
O (0.7874, 0.3735, 0.4186)
O (0.8166, 0.6622, 0.6205)
O (0.8586, 0.3660, 0.0758)
O (0.9118, 0.2384, 0.8532)
O (0.9275, 0.8173, 0.5013)
O (0.9507, 0.6922, 0.2875)
O (0.9606, 0.1183, 0.3159)

- energy with MP2020 corrections (eV/atom) = -6.30
- formation energy from the elements (kJ per mole of atoms) = -201.39

=====

# 5
Material: KW3O9
Method: DFT, PBE with a Hubbard U
State: relaxed

abc: 7.5232 3.8809 32.7588
angles: 90.00 96.56 90.00
Positions (direct):
K (0.0000, 0.0000, 0.0000)
K (0.2031, 0.1829, 0.3986)
K (0.4045, 0.2009, 0.8000)
K (0.5955, 0.2009, 0.2000)
K (0.7969, 0.1829, 0.6014)
W (0.0000, 0.5902, 0.5000)
W (0.0962, 0.5985, 0.1994)
W (0.1014, 0.5913, 0.7005)
W (0.1994, 0.5871, 0.8994)
W (0.3003, 0.5928, 0.1001)
W (0.3019, 0.5913, 0.6005)
W (0.3982, 0.5921, 0.2995)
W (0.5000, 0.5854, 0.0000)
W (0.5000, 0.5875, 0.5000)
W (0.6018, 0.5921, 0.7005)
W (0.6981, 0.5913, 0.3995)
W (0.6997, 0.5928, 0.8999)
W (0.8006, 0.5871, 0.1006)
W (0.8986, 0.5913, 0.2995)
W (0.9038, 0.5985, 0.8006)
O (0.0000, 0.0886, 0.5000)
O (0.0415, 0.5925, 0.0845)
O (0.0658, 0.5930, 0.7589)
O (0.0958, 0.5885, 0.5580)
O (0.0991, 0.0952, 0.1994)
O (0.1006, 0.0910, 0.7006)
O (0.1075, 0.5940, 0.8421)
O (0.1396, 0.5894, 0.6420)
O (0.1542, 0.5913, 0.3160)
O (0.1991, 0.0876, 0.8994)
O (0.2457, 0.5872, 0.4847)
O (0.2612, 0.5921, 0.1575)
O (0.2937, 0.5870, 0.9579)
O (0.3000, 0.0912, 0.1004)
O (0.3033, 0.5926, 0.2413)
O (0.3046, 0.0905, 0.5999)
O (0.3356, 0.5910, 0.0427)
O (0.3579, 0.5892, 0.7166)
O (0.3963, 0.0917, 0.2987)
O (0.4426, 0.5912, 0.8840)
O (0.4690, 0.5894, 0.5588)
O (0.4904, 0.5912, 0.3569)
O (0.5000, 0.0871, 0.0000)
O (0.5000, 0.0873, 0.5000)
O (0.5096, 0.5912, 0.6431)
O (0.5310, 0.5894, 0.4412)
O (0.5574, 0.5912, 0.1160)
O (0.6037, 0.0917, 0.7013)
O (0.6421, 0.5892, 0.2834)
O (0.6644, 0.5910, 0.9573)
O (0.6954, 0.0905, 0.4001)
O (0.6967, 0.5926, 0.7587)
O (0.7000, 0.0912, 0.8996)
O (0.7063, 0.5870, 0.0421)
O (0.7388, 0.5921, 0.8425)
O (0.7543, 0.5872, 0.5153)
O (0.8009, 0.0876, 0.1006)
O (0.8458, 0.5913, 0.6840)
O (0.8604, 0.5894, 0.3580)
O (0.8925, 0.5940, 0.1579)
O (0.8994, 0.0910, 0.2994)
O (0.9009, 0.0952, 0.8006)
O (0.9042, 0.5885, 0.4420)
O (0.9342, 0.5930, 0.2411)
O (0.9585, 0.5925, 0.9155)

- ΔE to the lowest computed polymorph (meV per atom) = 5
- energy with MP2020 corrections (eV/atom) = -8.73
- formation energy from the elements (kJ per mole of atoms) = -214.70

=====

# 6
Material: KW4O12
Method: DFT, PBE with a Hubbard U
State: relaxed

abc: 7.5155 7.5155 15.4591
angles: 90.00 90.00 120.00
Positions (direct):
K (0.0000, 0.0000, 0.0000)
K (0.0000, 0.0000, 0.2768)
K (0.0000, 0.0000, 0.5541)
W (0.9999, 0.5000, 0.1258)
W (0.9999, 0.4999, 0.3762)
W (0.9998, 0.4999, 0.6262)
W (0.0001, 0.5000, 0.8750)
W (0.5000, 0.0001, 0.1258)
W (0.5001, 0.0001, 0.3762)
W (0.5001, 0.0002, 0.6262)
W (0.5000, 0.9999, 0.8750)
W (0.5000, 0.5000, 0.1258)
W (0.5001, 0.4999, 0.3762)
W (0.5001, 0.4999, 0.6262)
W (0.5000, 0.5000, 0.8750)
O (0.0140, 0.5070, 0.4999)
O (0.0147, 0.5073, 0.0016)
O (0.2107, 0.4213, 0.1306)
O (0.2106, 0.4213, 0.3705)
O (0.2114, 0.4228, 0.6285)
O (0.2107, 0.7893, 0.1306)
O (0.2106, 0.7894, 0.3705)
O (0.2114, 0.7886, 0.6285)
O (0.2123, 0.4245, 0.8729)
O (0.2123, 0.7877, 0.8729)
O (0.4213, 0.2107, 0.1216)
O (0.4211, 0.2106, 0.3792)
O (0.4226, 0.2113, 0.6204)
O (0.4241, 0.2120, 0.8813)
O (0.4927, 0.5073, 0.0016)
O (0.4930, 0.5070, 0.4999)
O (0.4927, 0.9853, 0.0016)
O (0.4930, 0.9860, 0.4999)
O (0.5070, 0.0139, 0.7510)
O (0.5075, 0.0149, 0.2502)
O (0.5075, 0.4925, 0.2502)
O (0.5070, 0.4930, 0.7510)
O (0.5755, 0.7877, 0.8729)
O (0.5772, 0.7886, 0.6285)
O (0.5787, 0.7893, 0.1306)
O (0.5787, 0.7894, 0.3705)
O (0.7880, 0.2120, 0.8813)
O (0.7880, 0.5759, 0.8813)
O (0.7893, 0.2107, 0.1216)
O (0.7894, 0.2106, 0.3792)
O (0.7887, 0.2113, 0.6204)
O (0.7887, 0.5774, 0.6204)
O (0.7893, 0.5787, 0.1216)
O (0.7894, 0.5789, 0.3792)
O (0.9851, 0.4925, 0.2502)
O (0.9861, 0.4930, 0.7510)

- energy with MP2020 corrections (eV/atom) = -8.84
- formation energy from the elements (kJ per mole of atoms) = -215.74

=====

# 7
Material: KWO3
Method: DFT, PBE with a Hubbard U
State: relaxed

abc: 4.0171 4.0171 4.0171
angles: 90.00 90.00 90.00
Positions (direct):
K (0.0000, 0.0000, 0.0000)
W (0.5000, 0.5000, 0.5000)
O (0.0000, 0.5000, 0.5000)
O (0.5000, 0.0000, 0.5000)
O (0.5000, 0.5000, 0.0000)

- energy with MP2020 corrections (eV/atom) = -7.92
- formation energy from the elements (kJ per mole of atoms) = -206.27

=====

# 8
Material: KW3O9
Method: DFT, PBE with a Hubbard U
State: relaxed

abc: 7.5204 7.5204 3.8833
angles: 90.00 90.00 120.00
Positions (direct):
K (0.0000, 0.0000, 0.0000)
W (0.0000, 0.5000, 0.5991)
W (0.5000, 0.0000, 0.5991)
W (0.5000, 0.5000, 0.5991)
O (0.0000, 0.5000, 0.0997)
O (0.2101, 0.4202, 0.6003)
O (0.2101, 0.7899, 0.6003)
O (0.4202, 0.2101, 0.6003)
O (0.5000, 0.0000, 0.0997)
O (0.5000, 0.5000, 0.0997)
O (0.5798, 0.7899, 0.6003)
O (0.7899, 0.2101, 0.6003)
O (0.7899, 0.5798, 0.6003)

- ΔE to the lowest computed polymorph (meV per atom) = 4
- energy with MP2020 corrections (eV/atom) = -8.73
- formation energy from the elements (kJ per mole of atoms) = -214.83

=====

# 9
Material: KW3O9
Method: DFT, PBE with a Hubbard U
State: relaxed

abc: 7.5102 7.5102 7.7434
angles: 90.00 90.00 120.00
Positions (direct):
K (0.0000, 0.0000, 0.0000)
K (0.0000, 0.0000, 0.5000)
W (0.0000, 0.5000, 0.2330)
W (0.0000, 0.5000, 0.7330)
W (0.5000, 0.0000, 0.2330)
W (0.5000, 0.0000, 0.7330)
W (0.5000, 0.5000, 0.2330)
W (0.5000, 0.5000, 0.7330)
O (0.0134, 0.5067, 0.4830)
O (0.2096, 0.4191, 0.2246)
O (0.2096, 0.4191, 0.7407)
O (0.2096, 0.7904, 0.2246)
O (0.2096, 0.7904, 0.7407)
O (0.4191, 0.2096, 0.2407)
O (0.4191, 0.2096, 0.7246)
O (0.4933, 0.5067, 0.4830)
O (0.4933, 0.9866, 0.4830)
O (0.5067, 0.0134, 0.9830)
O (0.5067, 0.4933, 0.9830)
O (0.5809, 0.7904, 0.2246)
O (0.5809, 0.7904, 0.7407)
O (0.7904, 0.2096, 0.2407)
O (0.7904, 0.2096, 0.7246)
O (0.7904, 0.5809, 0.2407)
O (0.7904, 0.5809, 0.7246)
O (0.9866, 0.4933, 0.9830)

- ΔE to the lowest computed polymorph (meV per atom) = 6
- energy with MP2020 corrections (eV/atom) = -8.73
- formation energy from the elements (kJ per mole of atoms) = -214.62